First-principles (PBE) data for a geometry-optimized Na2Be3Si3O8 structure, as listed in the Materials Project database.

Calculated values
- E_form (eV/atom) = -2.340
- calculated density (g/cm³) = 2.1
- crystal system = monoclinic
- calculated total energy (eV per formula unit) = -101.67

a b c (Å): 8.233 8.233 9.708
angles (deg): 56.63 56.63 70.60
Positions (direct):
Na: 0.755 0.436 0.071
Na: 0.564 0.245 0.929
Na: 0.595 0.779 0.742
Na: 0.221 0.405 0.258
Be: 0.678 0.133 0.426
Be: 0.867 0.322 0.574
Be: 0.646 0.183 0.629
Be: 0.817 0.354 0.371
Be: 0.847 0.901 0.294
Be: 0.099 0.153 0.706
Si: 0.042 0.611 0.530
Si: 0.389 0.958 0.470
Si: 0.158 0.592 0.801
Si: 0.408 0.842 0.199
Si: 0.173 0.151 0.974
Si: 0.849 0.827 0.026
O: 0.956 0.108 0.149
O: 0.892 0.044 0.851
O: 0.211 0.145 0.797
O: 0.855 0.789 0.203
O: 0.608 0.002 0.405
O: 0.998 0.392 0.595
O: 0.344 0.005 0.038
O: 0.995 0.656 0.962
O: 0.883 0.768 0.478
O: 0.232 0.117 0.522
O: 0.235 0.370 0.907
O: 0.630 0.765 0.093
O: 0.039 0.596 0.709
O: 0.404 0.961 0.291
O: 0.343 0.734 0.648
O: 0.266 0.657 0.352